This record from the Materials Project database describes a relaxed SmS2 crystal. The functional is r2SCAN.

As for the total moment: 0.00 μB per formula unit. As for the energy relative to the elements: -2.008 eV/atom. As for the total energy: -51.83 eV per formula unit. The crystal system is monoclinic.

The space group is P2_1/c (No. 14) and the conventional cell measures 8.0365, 3.9947 and 7.9804 Å, with angles of 90.00, 90.11 and 90.00 degrees. The inequivalent atoms are Sm at (0.2243, 0.2110, 0.3707), S at (0.1323, 0.7387, 0.1256) and S at (0.4970, 0.6561, 0.3918).